{"formula": "LiCo3P3O13", "functional": "PBE+U", "state": "optimized geometry", "lattice_angstrom": [[-0.8158, -4.2402, -4.3140], [7.1518, -0.7657, -0.5999], [1.7203, -7.5899, 7.1346]], "species": ["Li", "Li", "Co", "Co", "Co", "Co", "Co", "Co", "P", "P", "P", "P", "P", "P", "O", "O", "O", "O", "O", "O", "O", "O", "O", "O", "O", "O", "O", "O", "O", "O", "O", "O", "O", "O", "O", "O", "O", "O", "O", "O"], "fractional_positions": [[0.7500, 0.3610, 0.1351], [0.2500, 0.6390, 0.8649], [0.2500, 0.6328, 0.1908], [0.7500, 0.3672, 0.8092], [0.2500, 0.2324, 0.4541], [0.5000, 0.0000, 0.0000], [0.7500, 0.7676, 0.5459], [0.0000, 0.0000, 0.0000], [0.2500, 0.7806, 0.4646], [0.7500, 0.2194, 0.5354], [0.2500, 0.2654, 0.7770], [0.7500, 0.7346, 0.2230], [0.7500, 0.7007, 0.8781], [0.2500, 0.2993, 0.1219], [0.7500, 0.6475, 0.7415], [0.5489, 0.2763, 0.4470], [0.2500, 0.1966, 0.6502], [0.5369, 0.8045, 0.9008], [0.7500, 0.3459, 0.6382], [0.7500, 0.1342, 0.9034], [0.2500, 0.6541, 0.3618], [0.0369, 0.1955, 0.0992], [0.2500, 0.9889, 0.4023], [0.7500, 0.0111, 0.5977], [0.0578, 0.3915, 0.8057], [0.2500, 0.8658, 0.0966], [0.5578, 0.6085, 0.1943], [0.7500, 0.4934, 0.9558], [0.7500, 0.8034, 0.3498], [0.4631, 0.1955, 0.0992], [0.9511, 0.2763, 0.4470], [0.4511, 0.7237, 0.5530], [0.4422, 0.3915, 0.8057], [0.2500, 0.3525, 0.2585], [0.7500, 0.9165, 0.1099], [0.2500, 0.0835, 0.8901], [0.9422, 0.6085, 0.1943], [0.9631, 0.8045, 0.9008], [0.0489, 0.7237, 0.5530], [0.2500, 0.5066, 0.0442]], "space_group": "P2_1/m (11)", "magnetic_moment_mub_per_fu": 5.000}

{"formula": "LiCo4O8", "functional": "PBE+U", "state": "optimized geometry", "lattice_angstrom": [[-2.8790, -1.6409, 4.6565], [-5.7608, -3.3185, -4.6707], [2.8448, -4.8986, -0.0125]], "species": ["Li", "Li", "Co", "Co", "Co", "Co", "Co", "Co", "Co", "Co", "O", "O", "O", "O", "O", "O", "O", "O", "O", "O", "O", "O", "O", "O", "O", "O"], "fractional_positions": [[0.2500, 0.2500, 0.2500], [0.7500, 0.7500, 0.7500], [0.0068, 0.5044, 0.0000], [0.4932, 0.9956, 0.5000], [0.2500, 0.2500, 0.7500], [0.7500, 0.7500, 0.2500], [0.4921, 0.9960, 0.0001], [0.0079, 0.5040, 0.4999], [0.2500, 0.7500, 0.2500], [0.7500, 0.2500, 0.7500], [0.2254, 0.4861, 0.7501], [0.7129, 0.9821, 0.2507], [0.7872, 0.5179, 0.2493], [0.2746, 0.0139, 0.7499], [0.9949, 0.7350, 0.0252], [0.4859, 0.2286, 0.5217], [0.5039, 0.7642, 0.0252], [0.0179, 0.2727, 0.5176], [0.2246, 0.5141, 0.2494], [0.7112, 0.0017, 0.7512], [0.7888, 0.4983, 0.7488], [0.2754, 0.9859, 0.2505], [0.4820, 0.2273, 0.9824], [0.9962, 0.7358, 0.4748], [0.0141, 0.2714, 0.9784], [0.5051, 0.7650, 0.4748]], "space_group": "P-1 (2)", "magnetic_moment_mub_per_fu": 2.000}

{"formula": "Li2MnCoP2O8", "functional": "PBE+U", "state": "optimized geometry", "lattice_angstrom": [[3.0533, -2.5048, 2.6869], [-5.9412, 1.7708, 8.4022], [-3.1365, -5.0832, -1.1632]], "species": ["Li", "Li", "Li", "Li", "Mn", "Mn", "Co", "Co", "P", "P", "P", "P", "O", "O", "O", "O", "O", "O", "O", "O", "O", "O", "O", "O", "O", "O", "O", "O"], "fractional_positions": [[0.9988, 0.0006, 0.0002], [0.9981, 0.0014, 0.4992], [0.4993, 0.5001, 0.9990], [0.5004, 0.5006, 0.5012], [0.5203, 0.7783, 0.2489], [0.4797, 0.2214, 0.7500], [0.0228, 0.7195, 0.7497], [0.9791, 0.2829, 0.2497], [0.4099, 0.0969, 0.2500], [0.5892, 0.9026, 0.7500], [0.9201, 0.4101, 0.7497], [0.0815, 0.5896, 0.2507], [0.7052, 0.0418, 0.7483], [0.2934, 0.9577, 0.2499], [0.7318, 0.1033, 0.2496], [0.2671, 0.8966, 0.7523], [0.2414, 0.4075, 0.7501], [0.7600, 0.5922, 0.2504], [0.2075, 0.4519, 0.2516], [0.7944, 0.5478, 0.7492], [0.2712, 0.1657, 0.0480], [0.2708, 0.1658, 0.4524], [0.7246, 0.8324, 0.5478], [0.7303, 0.8349, 0.9519], [0.7879, 0.3386, 0.5464], [0.7876, 0.3394, 0.9535], [0.2135, 0.6595, 0.0462], [0.2143, 0.6610, 0.4541]], "space_group": "P1 (1)", "magnetic_moment_mub_per_fu": 0.000}

{"formula": "ZnCoSi2O6", "functional": "PBE+U", "state": "optimized geometry", "lattice_angstrom": [[5.2903, 0.0000, 0.0000], [0.0000, 9.1151, 0.0000], [0.0000, 0.0000, 18.5086]], "species": ["Zn", "Zn", "Zn", "Zn", "Zn", "Zn", "Zn", "Zn", "Co", "Co", "Co", "Co", "Co", "Co", "Co", "Co", "Si", "Si", "Si", "Si", "Si", "Si", "Si", "Si", "Si", "Si", "Si", "Si", "Si", "Si", "Si", "Si", "O", "O", "O", "O", "O", "O", "O", "O", "O", "O", "O", "O", "O", "O", "O", "O", "O", "O", "O", "O", "O", "O", "O", "O", "O", "O", "O", "O", "O", "O", "O", "O", "O", "O", "O", "O", "O", "O", "O", "O", "O", "O", "O", "O", "O", "O", "O", "O"], "fractional_positions": [[0.6178, 0.1504, 0.3757], [0.3822, 0.8496, 0.6243], [0.6178, 0.6504, 0.1243], [0.1178, 0.8496, 0.1243], [0.8822, 0.1504, 0.8757], [0.3822, 0.3496, 0.8757], [0.1178, 0.3496, 0.3757], [0.8822, 0.6504, 0.6243], [0.3746, 0.9915, 0.8763], [0.6254, 0.0085, 0.1237], [0.8746, 0.0085, 0.6237], [0.1254, 0.9915, 0.3763], [0.3746, 0.4915, 0.6237], [0.6254, 0.5085, 0.3763], [0.8746, 0.5085, 0.8763], [0.1254, 0.4915, 0.1237], [0.5655, 0.6609, 0.7723], [0.7136, 0.8354, 0.4739], [0.7864, 0.8354, 0.9739], [0.9345, 0.1609, 0.2277], [0.0655, 0.3391, 0.7277], [0.4345, 0.8391, 0.2723], [0.2136, 0.6646, 0.4739], [0.7136, 0.3354, 0.0261], [0.7864, 0.3354, 0.5261], [0.9345, 0.6609, 0.2723], [0.4345, 0.3391, 0.2277], [0.5655, 0.1609, 0.7277], [0.2864, 0.1646, 0.5261], [0.0655, 0.8391, 0.7723], [0.2864, 0.6646, 0.9739], [0.2136, 0.1646, 0.0261], [0.9278, 0.5011, 0.3106], [0.3060, 0.0172, 0.0672], [0.0722, 0.4989, 0.6894], [0.7140, 0.3403, 0.9372], [0.2140, 0.1597, 0.9372], [0.9178, 0.2043, 0.0512], [0.9463, 0.6606, 0.1838], [0.0537, 0.8394, 0.6838], [0.7140, 0.8403, 0.5628], [0.9463, 0.1606, 0.3162], [0.4278, 0.4989, 0.1894], [0.7860, 0.3403, 0.4372], [0.6940, 0.9828, 0.9328], [0.4463, 0.8394, 0.1838], [0.5722, 0.0011, 0.6894], [0.3060, 0.5172, 0.4328], [0.4278, 0.9989, 0.3106], [0.1645, 0.7672, 0.3026], [0.3355, 0.7672, 0.8026], [0.5822, 0.7043, 0.9488], [0.7860, 0.8403, 0.0628], [0.5537, 0.6606, 0.6838], [0.8060, 0.4828, 0.0672], [0.1645, 0.2672, 0.1974], [0.2860, 0.1597, 0.4372], [0.5537, 0.1606, 0.8162], [0.6940, 0.4828, 0.5672], [0.2140, 0.6597, 0.5628], [0.1940, 0.5172, 0.9328], [0.6645, 0.7328, 0.3026], [0.0722, 0.9989, 0.8106], [0.8355, 0.7328, 0.8026], [0.8355, 0.2328, 0.6974], [0.8060, 0.9828, 0.4328], [0.2860, 0.6597, 0.0628], [0.1940, 0.0172, 0.5672], [0.3355, 0.2672, 0.6974], [0.0822, 0.7957, 0.9488], [0.4178, 0.7957, 0.4488], [0.6645, 0.2328, 0.1974], [0.4178, 0.2957, 0.0512], [0.5822, 0.2043, 0.5512], [0.0822, 0.2957, 0.5512], [0.4463, 0.3394, 0.3162], [0.5722, 0.5011, 0.8106], [0.9178, 0.7043, 0.4488], [0.0537, 0.3394, 0.8162], [0.9278, 0.0011, 0.1894]], "space_group": "Pbca (61)", "magnetic_moment_mub_per_fu": 3.000}

{"formula": "MgCo5O8", "functional": "PBE+U", "state": "optimized geometry", "lattice_angstrom": [[2.3834, -3.8945, -3.8467], [-2.4292, -5.4014, -0.6521], [-0.4971, 0.9312, -5.8617]], "species": ["Mg", "Co", "Co", "Co", "Co", "Co", "O", "O", "O", "O", "O", "O", "O", "O"], "fractional_positions": [[0.7473, 0.1264, 0.8763], [0.4974, 0.4998, 0.5013], [0.4974, 0.0028, 0.5013], [0.2483, 0.8758, 0.1258], [0.0012, 0.4994, 0.5018], [0.0012, 0.4994, 0.9970], [0.9806, 0.7422, 0.2597], [0.9802, 0.2771, 0.2599], [0.5178, 0.7412, 0.7247], [0.5178, 0.7412, 0.2576], [0.4794, 0.2602, 0.7411], [0.4794, 0.2602, 0.2795], [0.0203, 0.7221, 0.7398], [0.0199, 0.2581, 0.7401]], "space_group": "Imm2 (44)", "magnetic_moment_mub_per_fu": 18.973}

{"formula": "MgFe2O2F2", "functional": "PBE+U", "state": "optimized geometry", "lattice_angstrom": [[5.2855, 0.4221, -0.6403], [0.4229, 5.4168, 0.0495], [-0.3845, 0.0281, 3.0397]], "species": ["Mg", "Fe", "Fe", "O", "O", "F", "F"], "fractional_positions": [[0.5385, 0.9646, 0.9405], [0.9931, 0.2208, 0.1816], [0.4575, 0.4479, 0.4122], [0.2527, 0.2860, 0.8251], [0.7321, 0.1222, 0.5225], [0.3204, 0.8321, 0.3511], [0.7057, 0.5986, 0.0170]], "space_group": "P1 (1)", "magnetic_moment_mub_per_fu": 8.000}

Number 1: electronic total energy -261.9 eV for the cell shown. Number 2: electronic total energy -148.7 eV for the cell shown. Number 3: electronic total energy -193.4 eV for the cell shown. Number 4: electronic total energy -548.2 eV for the cell shown. Number 5: electronic total energy -82.9 eV for the cell shown. Number 6: electronic total energy -41.9 eV for the cell shown.